Record 1
Material: Li2GePbS4
Method: DFT, PBE
State: optimized geometry

Summary:
As for the total energy after the MP2020 corrections: -37.198 eV/f.u. The value obtained for the size of the total moment is 0.000 μB/f.u. For the largest piezoelectric modulus, the calculation gives 4.69 C/m². The formation energy comes out at -103 kJ per mole of atoms.

Lattice parameters (Å, degrees): 6.101 6.101 6.101 114.84 114.84 99.20
Sites, in units of the cell vectors:
Li  0.250  0.750  0.500
Li  0.750  0.250  0.500
Ge  0.000  0.000  0.000
Pb  0.500  0.500  0.000
S  0.034  0.034  0.394
S  0.360  0.966  0.000
S  0.640  0.640  0.606
S  0.966  0.360  0.000



Record 2
Material: Li2PmGe
Method: DFT, PBE
State: optimized geometry

Summary:
The formation energy comes out at -36 kJ per mole of atoms.

Lattice parameters (Å, degrees): 4.659 4.659 4.659 60.00 60.00 60.00
Sites, in units of the cell vectors:
Li  0.250  0.250  0.250
Li  0.750  0.750  0.750
Pm  0.000  0.000  0.000
Ge  0.500  0.500  0.500



Record 3
Material: LiPr4Ge4
Method: DFT, PBE
State: optimized geometry

Summary:
The value obtained for the size of the total moment is 0.003 μB/f.u. The formation energy comes out at -77 kJ per mole of atoms.

Lattice parameters (Å, degrees): 7.500 15.348 8.075 90.00 90.00 90.00
Sites, in units of the cell vectors:
Li  0.157  0.250  0.033
Li  0.343  0.750  0.533
Li  0.657  0.250  0.467
Li  0.843  0.750  0.967
Pr  0.026  0.602  0.690
Pr  0.026  0.898  0.690
Pr  0.176  0.628  0.178
Pr  0.176  0.872  0.178
Pr  0.324  0.128  0.678
Pr  0.324  0.372  0.678
Pr  0.474  0.102  0.190
Pr  0.474  0.398  0.190
Pr  0.526  0.602  0.810
Pr  0.526  0.898  0.810
Pr  0.676  0.628  0.322
Pr  0.676  0.872  0.322
Pr  0.824  0.128  0.822
Pr  0.824  0.372  0.822
Pr  0.974  0.102  0.310
Pr  0.974  0.398  0.310
Ge  0.014  0.250  0.579
Ge  0.157  0.037  0.968
Ge  0.157  0.463  0.968
Ge  0.228  0.750  0.868
Ge  0.272  0.250  0.368
Ge  0.343  0.537  0.468
Ge  0.343  0.963  0.468
Ge  0.486  0.750  0.079
Ge  0.514  0.250  0.921
Ge  0.657  0.037  0.532
Ge  0.657  0.463  0.532
Ge  0.728  0.750  0.632
Ge  0.772  0.250  0.132
Ge  0.843  0.537  0.032
Ge  0.843  0.963  0.032
Ge  0.986  0.750  0.421